MnVP2O8: relaxed, PBE+U.

Lattice parameters (Å, degrees): 8.6679 8.6679 21.1108 90.00 90.00 120.00
Closest atoms and distances in Å follow each position.
Space group R3 (No. 146, hexagonal axes)
Asymmetric unit:
Mn (0.0000, 0.0000, 0.0000) x3  6 O 2.02-2.19
Mn (0.0000, 0.0000, 0.1427) x3  6 O 2.21-2.26
Mn (0.0000, 0.0000, 0.6441) x3  6 O 2.26-2.29
V (0.0000, 0.0000, 0.2884) x3  6 O 1.92-2.04
V (0.0000, 0.0000, 0.4999) x3  6 O 1.88-2.00
V (0.0000, 0.0000, 0.7902) x3  6 O 1.91-2.06
P (0.0009, 0.2960, 0.8952) x9  4 O 1.50-1.57
P (0.0034, 0.7114, 0.3957) x9  4 O 1.53-1.57
O (0.0038, 0.8110, 0.3345) x9  1 P 1.55
O (0.0055, 0.1946, 0.8348) x9  1 P 1.56
O (0.0105, 0.1786, 0.5624) x9  1 P 1.57
O (0.0172, 0.8215, 0.4549) x9  1 P 1.54
O (0.0253, 0.8295, 0.0706) x9  1 P 1.53
O (0.1292, 0.4568, 0.6228) x9  1 P 1.50
O (0.1697, 0.4862, 0.8896) x9  1 P 1.57
O (0.1738, 0.6923, 0.3907) x9  1 P 1.57

Results
E above lowest polymorph	0	meV per atom
energy relative to the elements	-2.59	eV/atom
electronic total energy	-90.8	eV/f.u.